A plane-wave DFT calculation with PBE was carried out for an optimized crystal structure of Na3SbP2O8.

Cell lengths 20.1259, 5.3938, 14.1278 Å; angles 90.00, 110.43, 90.00 degrees
Fractional positions:
1 Na 0.0351 0.2435 0.1886
2 Na 0.0351 0.2565 0.6886
3 Na 0.1361 0.7492 0.2988
4 Na 0.1361 0.7508 0.7988
5 Na 0.1997 0.2047 0.4460
6 Na 0.1997 0.2953 0.9460
7 Na 0.3023 0.7432 0.2497
8 Na 0.3023 0.7568 0.7497
9 Na 0.3617 0.2453 0.6607
10 Na 0.3617 0.2547 0.1607
11 Na 0.4654 0.7451 0.1551
12 Na 0.4654 0.7549 0.6551
13 Na 0.5346 0.2451 0.3449
14 Na 0.5346 0.2549 0.8449
15 Na 0.6383 0.7453 0.8393
16 Na 0.6383 0.7547 0.3393
17 Na 0.6977 0.2432 0.2503
18 Na 0.6977 0.2568 0.7503
19 Na 0.8003 0.7047 0.0540
20 Na 0.8003 0.7953 0.5540
21 Na 0.8639 0.2492 0.2012
22 Na 0.8639 0.2508 0.7012
23 Na 0.9649 0.7435 0.3114
24 Na 0.9649 0.7565 0.8114
25 Sb 0.1250 0.6879 0.5365
26 Sb 0.1250 0.8121 0.0365
27 Sb 0.3767 0.2030 0.4126
28 Sb 0.3767 0.2970 0.9126
29 Sb 0.6233 0.7030 0.0874
30 Sb 0.6233 0.7970 0.5874
31 Sb 0.8750 0.1879 0.9635
32 Sb 0.8750 0.3121 0.4635
33 P 0.0416 0.2259 0.4210
34 P 0.0416 0.2741 0.9210
35 P 0.2086 0.2295 0.7122
36 P 0.2086 0.2705 0.2122
37 P 0.2919 0.7212 0.5037
38 P 0.2919 0.7788 0.0037
39 P 0.4603 0.7314 0.3812
40 P 0.4603 0.7686 0.8812
41 P 0.5397 0.2314 0.1188
42 P 0.5397 0.2686 0.6188
43 P 0.7081 0.2212 0.9963
44 P 0.7081 0.2788 0.4963
45 P 0.7914 0.7295 0.7878
46 P 0.7914 0.7705 0.2878
47 P 0.9584 0.7259 0.0790
48 P 0.9584 0.7741 0.5790
49 O 0.0249 0.7331 0.1750
50 O 0.0249 0.7669 0.6750
51 O 0.0319 0.2418 0.0222
52 O 0.0319 0.2582 0.5222
53 O 0.0843 0.5163 0.9166
54 O 0.0843 0.9837 0.4166
55 O 0.0911 0.0464 0.9091
56 O 0.0911 0.4536 0.4091
57 O 0.1635 0.1571 0.2686
58 O 0.1635 0.3429 0.7686
59 O 0.1942 0.5513 0.1943
60 O 0.1942 0.9487 0.6943
61 O 0.1989 0.1330 0.1108
62 O 0.1989 0.3670 0.6108
63 O 0.2093 0.7342 0.9845
64 O 0.2093 0.7658 0.4845
65 O 0.2919 0.2415 0.2738
66 O 0.2919 0.2585 0.7738
67 O 0.3030 0.0598 0.9932
68 O 0.3030 0.4402 0.4932
69 O 0.3040 0.6314 0.9164
70 O 0.3040 0.8686 0.4164
71 O 0.3372 0.6790 0.1080
72 O 0.3372 0.8210 0.6080
73 O 0.4144 0.0044 0.8316
74 O 0.4144 0.4956 0.3316
75 O 0.4138 0.5350 0.8221
76 O 0.4138 0.9650 0.3221
77 O 0.4706 0.7451 0.9925
78 O 0.4706 0.7549 0.4925
79 O 0.4731 0.2300 0.1484
80 O 0.4731 0.2700 0.6484
81 O 0.5269 0.7300 0.3516
82 O 0.5269 0.7700 0.8516
83 O 0.5294 0.2451 0.5075
84 O 0.5294 0.2549 0.0075
85 O 0.5862 0.0350 0.6779
86 O 0.5862 0.4650 0.1779
87 O 0.5856 0.5044 0.6684
88 O 0.5856 0.9956 0.1684
89 O 0.6628 0.1790 0.3920
90 O 0.6628 0.3210 0.8920
91 O 0.6960 0.1314 0.5836
92 O 0.6960 0.3686 0.0836
93 O 0.6970 0.5598 0.5068
94 O 0.6970 0.9402 0.0068
95 O 0.7081 0.7415 0.2262
96 O 0.7081 0.7585 0.7262
97 O 0.7907 0.2342 0.5155
98 O 0.7907 0.2658 0.0155
99 O 0.8011 0.6330 0.3892
100 O 0.8011 0.8670 0.8892
101 O 0.8058 0.0513 0.3057
102 O 0.8058 0.4487 0.8057
103 O 0.8365 0.6571 0.2314
104 O 0.8365 0.8429 0.7314
105 O 0.9090 0.5464 0.5909
106 O 0.9090 0.9536 0.0909
107 O 0.9157 0.0163 0.5834
108 O 0.9157 0.4837 0.0834
109 O 0.9681 0.7418 0.4778
110 O 0.9681 0.7582 0.9778
111 O 0.9751 0.2331 0.3250
112 O 0.9751 0.2669 0.8250

As for the space-group type: P2_1/c. For the energy relative to the elements, the calculation gives -3346 kJ/mol of formula units. As for the density: 3519 kg/m3. As for the total energy: -701.530 eV per cell.